Record 1
Dy6Al43Cr4 after structural relaxation, computed with GGA-PBE.

Output
VASP energy	-4.56	eV per atom
space group	P6_3/mcm, No. 193

Lattice parameters (Å, degrees): 10.9702 10.9702 17.5262 90.00 90.00 120.00
With the nearest neighbours (Å) after each atom.
Sites, in units of the cell vectors:
Dy  0.4704  0.4704  0.9047  14 Al 3.04-3.37, 1 Dy 3.40
Dy  0.5296  0.0000  0.9047  14 Al 3.04-3.37, 1 Dy 3.40
Dy  0.0000  0.5296  0.9047  14 Al 3.04-3.37, 1 Dy 3.40
Dy  0.5296  0.5296  0.0953  14 Al 3.04-3.37, 1 Dy 3.40
Dy  0.4704  0.0000  0.0953  14 Al 3.04-3.37, 1 Dy 3.40
Dy  0.0000  0.4704  0.0953  14 Al 3.04-3.37, 1 Dy 3.40
Dy  0.5296  0.5296  0.4047  14 Al 3.04-3.37, 1 Dy 3.40
Dy  0.4704  0.0000  0.4047  14 Al 3.04-3.37, 1 Dy 3.40
Dy  0.0000  0.4704  0.4047  14 Al 3.04-3.37, 1 Dy 3.40
Dy  0.4704  0.4704  0.5953  14 Al 3.04-3.37, 1 Dy 3.40
Dy  0.5296  0.0000  0.5953  14 Al 3.04-3.37, 1 Dy 3.40
Dy  0.0000  0.5296  0.5953  14 Al 3.04-3.37, 1 Dy 3.40
Al  0.8401  0.2312  0.8348  1 Cr 2.65, 6 Al 2.71-2.88
Al  0.7688  0.6089  0.8348  1 Cr 2.65, 6 Al 2.71-2.88
Al  0.3911  0.1599  0.8348  1 Cr 2.65, 6 Al 2.71-2.88
Al  0.2312  0.8401  0.8348  1 Cr 2.65, 6 Al 2.71-2.88
Al  0.6089  0.7688  0.8348  1 Cr 2.65, 6 Al 2.71-2.88
Al  0.1599  0.3911  0.8348  1 Cr 2.65, 6 Al 2.71-2.88
Al  0.1599  0.7688  0.1652  1 Cr 2.65, 6 Al 2.71-2.88
Al  0.2312  0.3911  0.1652  1 Cr 2.65, 6 Al 2.71-2.88
Al  0.6089  0.8401  0.1652  1 Cr 2.65, 6 Al 2.71-2.88
Al  0.7688  0.1599  0.1652  1 Cr 2.65, 6 Al 2.71-2.88
Al  0.3911  0.2312  0.1652  1 Cr 2.65, 6 Al 2.71-2.88
Al  0.8401  0.6089  0.1652  1 Cr 2.65, 6 Al 2.71-2.88
Al  0.1599  0.7688  0.3348  1 Cr 2.65, 6 Al 2.71-2.88
Al  0.2312  0.3911  0.3348  1 Cr 2.65, 6 Al 2.71-2.88
Al  0.6089  0.8401  0.3348  1 Cr 2.65, 6 Al 2.71-2.88
Al  0.7688  0.1599  0.3348  1 Cr 2.65, 6 Al 2.71-2.88
Al  0.3911  0.2312  0.3348  1 Cr 2.65, 6 Al 2.71-2.88
Al  0.8401  0.6089  0.3348  1 Cr 2.65, 6 Al 2.71-2.88
Al  0.8401  0.2312  0.6652  1 Cr 2.65, 6 Al 2.71-2.88
Al  0.7688  0.6089  0.6652  1 Cr 2.65, 6 Al 2.71-2.88
Al  0.3911  0.1599  0.6652  1 Cr 2.65, 6 Al 2.71-2.88
Al  0.2312  0.8401  0.6652  1 Cr 2.65, 6 Al 2.71-2.88
Al  0.6089  0.7688  0.6652  1 Cr 2.65, 6 Al 2.71-2.88
Al  0.1599  0.3911  0.6652  1 Cr 2.65, 6 Al 2.71-2.88
Al  0.8454  0.8454  0.3843  2 Cr 2.64-2.67, 9 Al 2.71-2.94
Al  0.1546  0.0000  0.3843  2 Cr 2.64-2.67, 9 Al 2.71-2.94
Al  0.0000  0.1546  0.3843  2 Cr 2.64-2.67, 9 Al 2.71-2.94
Al  0.1546  0.1546  0.6157  2 Cr 2.64-2.67, 9 Al 2.71-2.94
Al  0.8454  0.0000  0.6157  2 Cr 2.64-2.67, 9 Al 2.71-2.94
Al  0.0000  0.8454  0.6157  2 Cr 2.64-2.67, 9 Al 2.71-2.94
Al  0.1546  0.1546  0.8843  2 Cr 2.64-2.67, 9 Al 2.71-2.94
Al  0.8454  0.0000  0.8843  2 Cr 2.64-2.67, 9 Al 2.71-2.94
Al  0.0000  0.8454  0.8843  2 Cr 2.64-2.67, 9 Al 2.71-2.94
Al  0.8454  0.8454  0.1157  2 Cr 2.64-2.67, 9 Al 2.71-2.94
Al  0.1546  0.0000  0.1157  2 Cr 2.64-2.67, 9 Al 2.71-2.94
Al  0.0000  0.1546  0.1157  2 Cr 2.64-2.67, 9 Al 2.71-2.94
Al  0.7487  0.7487  0.9693  9 Al 2.74-2.96, 1 Cr 2.81
Al  0.2513  0.0000  0.9693  9 Al 2.74-2.96, 1 Cr 2.81
Al  0.0000  0.2513  0.9693  9 Al 2.74-2.96, 1 Cr 2.81
Al  0.2513  0.2513  0.0307  9 Al 2.74-2.96, 1 Cr 2.81
Al  0.7487  0.0000  0.0307  9 Al 2.74-2.96, 1 Cr 2.81
Al  0.0000  0.7487  0.0307  9 Al 2.74-2.96, 1 Cr 2.81
Al  0.2513  0.2513  0.4693  9 Al 2.74-2.96, 1 Cr 2.81
Al  0.7487  0.0000  0.4693  9 Al 2.74-2.96, 1 Cr 2.81
Al  0.0000  0.7487  0.4693  9 Al 2.74-2.96, 1 Cr 2.81
Al  0.7487  0.7487  0.5307  9 Al 2.74-2.96, 1 Cr 2.81
Al  0.2513  0.0000  0.5307  9 Al 2.74-2.96, 1 Cr 2.81
Al  0.0000  0.2513  0.5307  9 Al 2.74-2.96, 1 Cr 2.81
Al  0.8559  0.4517  0.7500  1 Cr 2.65, 7 Al 2.74-2.81
Al  0.5483  0.4041  0.7500  1 Cr 2.65, 7 Al 2.74-2.81
Al  0.5959  0.1441  0.7500  1 Cr 2.65, 7 Al 2.74-2.81
Al  0.4517  0.8559  0.7500  1 Cr 2.65, 7 Al 2.74-2.81
Al  0.4041  0.5483  0.7500  1 Cr 2.65, 7 Al 2.74-2.81
Al  0.1441  0.5959  0.7500  1 Cr 2.65, 7 Al 2.74-2.81
Al  0.1441  0.5483  0.2500  1 Cr 2.65, 7 Al 2.74-2.81
Al  0.4517  0.5959  0.2500  1 Cr 2.65, 7 Al 2.74-2.81
Al  0.4041  0.8559  0.2500  1 Cr 2.65, 7 Al 2.74-2.81
Al  0.5483  0.1441  0.2500  1 Cr 2.65, 7 Al 2.74-2.81
Al  0.5959  0.4517  0.2500  1 Cr 2.65, 7 Al 2.74-2.81
Al  0.8559  0.4041  0.2500  1 Cr 2.65, 7 Al 2.74-2.81
Al  0.7529  0.2471  0.0000  6 Al 2.74-2.84
Al  0.7529  0.5059  0.0000  6 Al 2.74-2.84
Al  0.4941  0.2471  0.0000  6 Al 2.74-2.84
Al  0.2471  0.7529  0.0000  6 Al 2.74-2.84
Al  0.5059  0.7529  0.0000  6 Al 2.74-2.84
Al  0.2471  0.4941  0.0000  6 Al 2.74-2.84
Al  0.2471  0.7529  0.5000  6 Al 2.74-2.84
Al  0.2471  0.4941  0.5000  6 Al 2.74-2.84
Al  0.5059  0.7529  0.5000  6 Al 2.74-2.84
Al  0.7529  0.2471  0.5000  6 Al 2.74-2.84
Al  0.4941  0.2471  0.5000  6 Al 2.74-2.84
Al  0.7529  0.5059  0.5000  6 Al 2.74-2.84
Al  0.6667  0.3333  0.8725  9 Al 2.73-2.81
Al  0.3333  0.6667  0.8725  9 Al 2.73-2.81
Al  0.3333  0.6667  0.1275  9 Al 2.73-2.81
Al  0.6667  0.3333  0.1275  9 Al 2.73-2.81
Al  0.3333  0.6667  0.3725  9 Al 2.73-2.81
Al  0.6667  0.3333  0.3725  9 Al 2.73-2.81
Al  0.6667  0.3333  0.6275  9 Al 2.73-2.81
Al  0.3333  0.6667  0.6275  9 Al 2.73-2.81
Al  0.8550  0.8550  0.7500  2 Cr 2.57, 10 Al 2.76-2.87
Al  0.1450  0.0000  0.7500  2 Cr 2.57, 10 Al 2.76-2.87
Al  0.0000  0.1450  0.7500  2 Cr 2.57, 10 Al 2.76-2.87
Al  0.1450  0.1450  0.2500  2 Cr 2.57, 10 Al 2.76-2.87
Al  0.8550  0.0000  0.2500  2 Cr 2.57, 10 Al 2.76-2.87
Al  0.0000  0.8550  0.2500  2 Cr 2.57, 10 Al 2.76-2.87
Cr  0.2698  0.2698  0.7500  10 Al 2.57-2.67
Cr  0.7302  0.0000  0.7500  10 Al 2.57-2.67
Cr  0.0000  0.7302  0.7500  10 Al 2.57-2.67
Cr  0.7302  0.7302  0.2500  10 Al 2.57-2.67
Cr  0.2698  0.0000  0.2500  10 Al 2.57-2.67
Cr  0.0000  0.2698  0.2500  10 Al 2.57-2.67
Cr  0.0000  0.0000  0.0000  12 Al 2.64-2.81
Cr  0.0000  0.0000  0.5000  12 Al 2.64-2.81

Record 2
DyAl8Cr4 after structural relaxation, computed with GGA-PBE.

Output
total magnetic moment	2.9	μB per cell
VASP energy	-5.84	eV per atom
space group	I4/mmm, No. 139

Lattice parameters (Å, degrees): 6.7983 6.7983 6.7983 97.90 97.90 136.48
With the nearest neighbours (Å) after each atom.
Sites, in units of the cell vectors:
Dy  0.0000  0.0000  0.0000  12 Al 3.01-3.21
Al  0.2780  0.5000  0.7780  4 Cr 2.58, 6 Al 2.72-2.87
Al  0.5000  0.7220  0.2220  4 Cr 2.58, 6 Al 2.72-2.87
Al  0.6625  0.0000  0.6625  4 Cr 2.68, 5 Al 2.72-2.90
Al  0.0000  0.3375  0.3375  4 Cr 2.68, 5 Al 2.72-2.90
Al  0.0000  0.6625  0.6625  4 Cr 2.68, 5 Al 2.72-2.90
Al  0.3375  0.0000  0.3375  4 Cr 2.68, 5 Al 2.72-2.90
Al  0.7220  0.5000  0.2220  4 Cr 2.58, 6 Al 2.72-2.87
Al  0.5000  0.2780  0.7780  4 Cr 2.58, 6 Al 2.72-2.87
Cr  0.0000  0.0000  0.5000  2 Cr 2.52, 8 Al 2.58-2.68
Cr  0.5000  0.5000  0.5000  2 Cr 2.52, 8 Al 2.58-2.68
Cr  0.5000  0.0000  0.0000  2 Cr 2.52, 8 Al 2.58-2.68
Cr  0.0000  0.5000  0.0000  2 Cr 2.52, 8 Al 2.58-2.68

Record 3
ErAl6Cr6 after structural relaxation, computed with GGA-PBE.

Output
total magnetic moment	0.3	μB per cell
VASP energy	-6.65	eV per atom
space group	Immm, No. 71

Lattice parameters (Å, degrees): 5.0637 6.6701 6.6701 97.48 112.31 67.69
With the nearest neighbours (Å) after each atom.
Sites, in units of the cell vectors:
Er  0.0000  0.0000  0.0000  8 Al 2.90-3.04
Al  0.6543  0.3457  0.6543  6 Cr 2.65-2.67, 3 Al 2.67-2.85
Al  0.3457  0.6543  0.3457  6 Cr 2.65-2.67, 3 Al 2.67-2.85
Al  0.0000  0.3293  0.3293  6 Cr 2.60-2.65, 1 Er 2.90
Al  0.0000  0.6707  0.6707  6 Cr 2.60-2.65, 1 Er 2.90
Al  0.6934  0.8066  0.1934  6 Cr 2.58-2.70, 2 Al 2.85
Al  0.3066  0.1934  0.8066  6 Cr 2.58-2.70, 2 Al 2.85
Cr  0.5000  0.0000  0.5000  4 Cr 2.51-2.53, 6 Al 2.58-2.67
Cr  0.0000  0.0000  0.5000  4 Cr 2.51-2.53, 6 Al 2.58-2.67
Cr  0.5000  0.5000  0.0000  4 Cr 2.51-2.53, 6 Al 2.58-2.67
Cr  0.0000  0.5000  0.0000  4 Cr 2.51-2.53, 6 Al 2.58-2.67
Cr  0.5000  0.7598  0.7598  4 Cr 2.51, 6 Al 2.65-2.70
Cr  0.5000  0.2402  0.2402  4 Cr 2.51, 6 Al 2.65-2.70